1.
Pr4As3 r2SCAN optimized geometry; energy = -171.94 eV/f.u.; space group = No. 220
1.0
7.432 0.000 -2.628
-3.716 6.437 -2.628
0.000 0.000 7.883
Pr As
8 6
direct
0.133 0.133 0.133
0.867 0.500 0.000
0.000 0.867 0.500
0.500 0.000 0.867
0.000 0.367 0.500
0.500 0.000 0.367
0.367 0.500 0.000
0.633 0.633 0.633
0.250 0.625 0.375
0.375 0.250 0.625
0.125 0.750 0.875
0.875 0.125 0.750
0.625 0.375 0.250
0.750 0.875 0.125

---

2.
Eu3Al2P4 r2SCAN optimized geometry; energy = -175.77 eV/f.u.; space group = No. 15
1.0
3.221 -2.919 6.941
8.076 1.014 -0.909
-0.424 5.949 2.718
Eu Al P
6 4 8
direct
0.009 0.750 0.536
0.250 0.991 0.964
0.991 0.250 0.464
0.750 0.009 0.036
0.402 0.598 0.250
0.598 0.402 0.750
0.829 0.580 0.085
0.420 0.171 0.415
0.171 0.420 0.915
0.580 0.829 0.585
0.059 0.708 0.025
0.292 0.941 0.475
0.941 0.292 0.975
0.708 0.059 0.525
0.741 0.576 0.430
0.424 0.259 0.070
0.259 0.424 0.570
0.576 0.741 0.930

---

3.
MnCdF5 r2SCAN optimized geometry; energy = -68.94 eV/f.u.; space group = No. 14
1.0
6.354 0.000 0.000
0.000 7.001 -3.409
0.000 0.072 8.887
Mn Cd F
4 4 20
direct
0.500 0.000 0.500
0.000 0.500 0.000
0.500 0.500 0.500
0.000 0.000 0.000
0.544 0.250 0.000
0.044 0.750 0.500
0.956 0.250 0.500
0.456 0.750 0.000
0.702 0.952 0.983
0.798 0.952 0.483
0.601 0.253 0.505
0.899 0.253 0.005
0.701 0.548 0.013
0.298 0.048 0.017
0.799 0.548 0.513
0.023 0.898 0.774
0.520 0.389 0.274
0.977 0.102 0.226
0.201 0.452 0.487
0.399 0.747 0.495
0.477 0.898 0.274
0.523 0.102 0.726
0.480 0.611 0.726
0.202 0.048 0.517
0.101 0.747 0.995
0.980 0.389 0.774
0.299 0.452 0.987
0.020 0.611 0.226